Record 1
Compound: KPrZr2O6
Source: the Materials Project
Functional: GGA-PBE
Structure: optimized geometry

Properties
The value obtained for the uncorrected energy is -329.39 eV/cell. The calculation puts the energy with MP2020 corrections at -345.88 eV per cell.

Cell lengths 8.3640, 8.3640, 8.3640 Å; angles 90.00, 90.00, 90.00 degrees
Space group Fm-3m (No. 225)
Symmetry-distinct sites (fractional):
K1 0.0000 0.0000 0.0000 (multiplicity 4)
Pr1 0.0000 0.0000 0.5000 (multiplicity 4)
Zr1 0.2500 0.2500 0.2500 (multiplicity 8)
O1 0.0000 0.2500 0.2500 (multiplicity 24)


Record 2
Compound: K3Pt2O4
Source: the Materials Project
Functional: GGA-PBE
Structure: optimized geometry

Properties
The value obtained for the uncorrected energy is -179.70 eV/cell. The calculation puts the energy with MP2020 corrections at -190.69 eV per cell.

Cell lengths 6.1599, 9.3942, 11.7959 Å; angles 90.00, 90.00, 90.00 degrees
Space group Cmcm (No. 63)
Symmetry-distinct sites (fractional):
K1 0.0000 0.1482 0.0677 (multiplicity 8)
K2 0.0000 0.2106 0.7500 (multiplicity 4)
Pt1 0.0000 0.4219 0.2500 (multiplicity 4)
Pt2 0.0000 0.5000 0.0000 (multiplicity 4)
O1 0.2085 0.4190 0.1159 (multiplicity 16)


Record 3
Compound: KPtO3
Source: the Materials Project
Functional: GGA-PBE
Structure: optimized geometry

Properties
The value obtained for the uncorrected energy is -24.74 eV/cell. The calculation puts the energy with MP2020 corrections at -26.80 eV per cell.

Cell lengths 4.0464, 4.0464, 4.0464 Å; angles 90.00, 90.00, 90.00 degrees
Space group Pm-3m (No. 221)
Symmetry-distinct sites (fractional):
K1 0.0000 0.0000 0.0000 (multiplicity 1)
Pt1 0.5000 0.5000 0.5000 (multiplicity 1)
O1 0.0000 0.5000 0.5000 (multiplicity 3)


Record 4
Compound: K4Pt2S5O20
Source: the Materials Project
Functional: GGA-PBE
Structure: optimized geometry

Properties
The value obtained for the uncorrected energy is -723.59 eV/cell. The calculation puts the energy with MP2020 corrections at -778.55 eV per cell.

Cell lengths 9.9663, 13.6496, 15.1712 Å; angles 101.36, 96.02, 102.44 degrees
Space group P-1 (No. 2)
Symmetry-distinct sites (fractional):
K1 0.0446 0.1225 0.4389 (multiplicity 2)
K2 0.1193 0.5443 0.8134 (multiplicity 2)
K3 0.1381 0.1878 0.7755 (multiplicity 2)
K4 0.2370 0.6510 0.2277 (multiplicity 2)
K5 0.3094 0.8469 0.8084 (multiplicity 2)
K6 0.3303 0.2958 0.1854 (multiplicity 2)
K7 0.3715 0.9182 0.1558 (multiplicity 2)
K8 0.4180 0.3901 0.5574 (multiplicity 2)
Pt1 0.0105 0.9143 0.0154 (multiplicity 2)
Pt2 0.1051 0.5694 0.5433 (multiplicity 2)
Pt3 0.3819 0.4412 0.9955 (multiplicity 2)
Pt4 0.4859 0.9149 0.5232 (multiplicity 2)
S1 0.0410 0.3333 0.9692 (multiplicity 2)
S2 0.0509 0.0865 0.1921 (multiplicity 2)
S3 0.0684 0.3574 0.6018 (multiplicity 2)
S4 0.1610 0.4308 0.3685 (multiplicity 2)
S5 0.2349 0.9216 0.3863 (multiplicity 2)
S6 0.2919 0.0520 0.9906 (multiplicity 2)
S7 0.3595 0.0719 0.6447 (multiplicity 2)
S8 0.3775 0.6706 0.9925 (multiplicity 2)
S9 0.4272 0.7095 0.6227 (multiplicity 2)
S10 0.4660 0.4498 0.8072 (multiplicity 2)
O1 0.0013 0.5976 0.6511 (multiplicity 2)
O2 0.0050 0.6284 0.3205 (multiplicity 2)
O3 0.0061 0.3859 0.0533 (multiplicity 2)
O4 0.0165 0.3779 0.8901 (multiplicity 2)
O5 0.0342 0.6778 0.4885 (multiplicity 2)
O6 0.0439 0.7791 0.0609 (multiplicity 2)
O7 0.0608 0.1530 0.1194 (multiplicity 2)
O8 0.0850 0.9829 0.1494 (multiplicity 2)
O9 0.0879 0.9185 0.3880 (multiplicity 2)
O10 0.0881 0.9336 0.7829 (multiplicity 2)
O11 0.1522 0.2820 0.6017 (multiplicity 2)
O12 0.1613 0.1400 0.2669 (multiplicity 2)
O13 0.1710 0.4603 0.6000 (multiplicity 2)
O14 0.1876 0.1085 0.9534 (multiplicity 2)
O15 0.1915 0.3234 0.9842 (multiplicity 2)
O16 0.2062 0.4446 0.2826 (multiplicity 2)
O17 0.2078 0.5388 0.4346 (multiplicity 2)
O18 0.2095 0.9390 0.9858 (multiplicity 2)
O19 0.2097 0.3543 0.4084 (multiplicity 2)
O20 0.2146 0.0426 0.6018 (multiplicity 2)
O21 0.2642 0.8702 0.2992 (multiplicity 2)
O22 0.2711 0.6957 0.6264 (multiplicity 2)
O23 0.2828 0.8704 0.4621 (multiplicity 2)
O24 0.2940 0.5562 0.9682 (multiplicity 2)
O25 0.3120 0.0374 0.4120 (multiplicity 2)
O26 0.3193 0.7198 0.9262 (multiplicity 2)
O27 0.3531 0.1012 0.0845 (multiplicity 2)
O28 0.3746 0.3821 0.8600 (multiplicity 2)
O29 0.3750 0.7165 0.0870 (multiplicity 2)
O30 0.3831 0.1242 0.7403 (multiplicity 2)
O31 0.3901 0.0431 0.9270 (multiplicity 2)
O32 0.3899 0.5005 0.1313 (multiplicity 2)
O33 0.4008 0.5293 0.7860 (multiplicity 2)
O34 0.4212 0.9757 0.6413 (multiplicity 2)
O35 0.4497 0.1446 0.5952 (multiplicity 2)
O36 0.4634 0.6097 0.6045 (multiplicity 2)
O37 0.4637 0.7576 0.5431 (multiplicity 2)
O38 0.4713 0.3279 0.0248 (multiplicity 2)
O39 0.4946 0.3798 0.7300 (multiplicity 2)
O40 0.4964 0.7790 0.7097 (multiplicity 2)


What are the formation enthalpy at 0 K values for these records? In order: -3.379, -1.379, -0.955, -1.884 eV/atom.